Entry 1:
# Li2MnCu3O8, optimized geometry, DFT PBE with a Hubbard U
data_Li2MnCu3O8
_chemical_formula_sum 'Li6 Mn3 Cu9 O24'
_cell_length_a 5.8736
_cell_length_b 5.8736
_cell_length_c 14.3184
_cell_angle_alpha 90.00
_cell_angle_beta 90.00
_cell_angle_gamma 120.00
_symmetry_space_group_name_H-M 'R -3 m'
_symmetry_Int_Tables_number 166
_symmetry_space_group_name_Hall '-R 3 2"'
loop_
_atom_site_label
_atom_site_type_symbol
_atom_site_fract_x
_atom_site_fract_y
_atom_site_fract_z
Li1 Li 0.0000 0.0000 0.1279
Mn1 Mn 0.0000 0.0000 0.5000
Cu1 Cu 0.0000 0.5000 0.0000
O1 O 0.0000 0.0000 0.2676
O2 O 0.0363 0.5181 0.2485
# M_tot = 8.0 μB per formula unit
# formation energy from the elements = -1.3524 eV per atom

=====

Entry 2:
# Li3Mn2Si2O8, optimized geometry, DFT PBE with a Hubbard U
data_Li3Mn2Si2O8
_chemical_formula_sum 'Li6 Mn4 Si4 O16'
_cell_length_a 6.735
_cell_length_b 7.219
_cell_length_c 7.292
_cell_angle_alpha 97.59
_cell_angle_beta 91.60
_cell_angle_gamma 90.28
_symmetry_space_group_name_H-M 'P 1'
_symmetry_Int_Tables_number 1
loop_
_symmetry_equiv_pos_as_xyz
'x,y,z'
loop_
_atom_site_label
_atom_site_type_symbol
_atom_site_fract_x
_atom_site_fract_y
_atom_site_fract_z
Li1 Li 0.000 0.000 0.000
Li2 Li 0.003 0.504 0.524
Li3 Li 0.256 0.217 0.785
Li4 Li 0.289 0.751 0.288
Li5 Li 0.760 0.155 0.343
Li6 Li 0.788 0.688 0.844
Mn1 Mn 0.259 0.182 0.365
Mn2 Mn 0.293 0.633 0.822
Mn3 Mn 0.732 0.257 0.792
Mn4 Mn 0.768 0.709 0.242
Si1 Si 0.010 0.914 0.592
Si2 Si 0.017 0.430 0.110
Si3 Si 0.517 0.989 0.031
Si4 Si 0.533 0.519 0.533
O1 O 0.013 0.228 0.189
O2 O 0.025 0.726 0.701
O3 O 0.038 0.598 0.288
O4 O 0.184 0.442 0.956
O5 O 0.210 0.949 0.481
O6 O 0.316 0.418 0.583
O7 O 0.325 0.834 0.022
O8 O 0.500 0.108 0.857
O9 O 0.504 0.123 0.228
O10 O 0.523 0.604 0.339
O11 O 0.540 0.682 0.716
O12 O 0.728 0.383 0.549
O13 O 0.736 0.882 0.044
O14 O 0.798 0.490 0.023
O15 O 0.815 0.904 0.443
O16 O 0.984 0.095 0.755
# M_tot = 0.0 μB per formula unit
# ΔE to the lowest computed polymorph = 0 meV/atom
# formation energy from the elements = -2.6014 eV per atom

=====

Entry 3:
# NaMn3P3O13, optimized geometry, DFT PBE with a Hubbard U
data_NaMn3P3O13
_chemical_formula_sum 'Na2 Mn6 P6 O26'
_cell_length_a 7.551
_cell_length_b 6.262
_cell_length_c 10.468
_cell_angle_alpha 90.00
_cell_angle_beta 99.17
_cell_angle_gamma 90.00
_symmetry_space_group_name_H-M 'P 1 21/m 1'
_symmetry_Int_Tables_number 11
loop_
_symmetry_equiv_pos_as_xyz
'x,y,z'
'-x,-y,-z'
'-x,y+1/2,-z'
'x,-y+1/2,z'
loop_
_atom_site_label
_atom_site_type_symbol
_atom_site_fract_x
_atom_site_fract_y
_atom_site_fract_z
Na1 Na 0.173 0.250 0.201
Mn1 Mn 0.139 0.250 0.802
Mn2 Mn 0.265 0.750 0.444
Mn3 Mn 0.500 0.000 0.000
P1 P 0.189 0.750 0.117
P2 P 0.240 0.750 0.766
P3 P 0.289 0.250 0.524
O1 O 0.009 0.250 0.955
O2 O 0.123 0.558 0.794
O3 O 0.145 0.750 0.259
O4 O 0.153 0.250 0.622
O5 O 0.243 0.057 0.430
O6 O 0.292 0.546 0.092
O7 O 0.294 0.750 0.632
O8 O 0.375 0.250 0.904
O9 O 0.416 0.750 0.868
O10 O 0.480 0.250 0.596
# M_tot = 11.0 μB per formula unit
# formation energy from the elements = -2.3972 eV per atom

=====

Entry 4:
# Li4Cr3Fe3Sn2O16, optimized geometry, DFT PBE with a Hubbard U
data_Li4Cr3Fe3Sn2O16
_chemical_formula_sum 'Li4 Cr3 Fe3 Sn2 O16'
_cell_length_a 5.967
_cell_length_b 5.986
_cell_length_c 9.747
_cell_angle_alpha 90.09
_cell_angle_beta 90.38
_cell_angle_gamma 119.89
_symmetry_space_group_name_H-M 'P 1'
_symmetry_Int_Tables_number 1
loop_
_symmetry_equiv_pos_as_xyz
'x,y,z'
loop_
_atom_site_label
_atom_site_type_symbol
_atom_site_fract_x
_atom_site_fract_y
_atom_site_fract_z
Li1 Li 0.000 0.000 0.000
Li2 Li 0.002 0.999 0.500
Li3 Li 0.335 0.663 0.599
Li4 Li 0.674 0.330 0.097
Cr1 Cr 0.658 0.823 0.276
Cr2 Cr 0.826 0.166 0.776
Cr3 Cr 0.832 0.661 0.779
Fe1 Fe 0.166 0.336 0.280
Fe2 Fe 0.172 0.830 0.278
Fe3 Fe 0.339 0.170 0.781
Sn1 Sn 0.336 0.669 0.000
Sn2 Sn 0.668 0.335 0.502
O1 O 0.040 0.513 0.154
O2 O 0.159 0.321 0.894
O3 O 0.165 0.844 0.894
O4 O 0.323 0.162 0.394
O5 O 0.354 0.676 0.386
O6 O 0.490 0.965 0.154
O7 O 0.500 0.529 0.156
O8 O 0.516 0.477 0.656
O9 O 0.529 0.032 0.657
O10 O 0.681 0.841 0.893
O11 O 0.682 0.328 0.885
O12 O 0.834 0.153 0.394
O13 O 0.841 0.678 0.394
O14 O 0.967 0.478 0.656
O15 O 0.988 0.993 0.187
O16 O 0.992 0.004 0.687
# M_tot = 22.0 μB per formula unit
# ΔE to the lowest computed polymorph = 0 meV/atom
# formation energy from the elements = -2.0740 eV per atom

=====

Entry 5:
# LiVO2, optimized geometry, DFT PBE with a Hubbard U
data_LiVO2
_chemical_formula_sum 'Li2 V2 O4'
_cell_length_a 4.100
_cell_length_b 4.200
_cell_length_c 5.279
_cell_angle_alpha 113.44
_cell_angle_beta 112.73
_cell_angle_gamma 90.05
_symmetry_space_group_name_H-M 'P 1'
_symmetry_Int_Tables_number 1
loop_
_symmetry_equiv_pos_as_xyz
'x,y,z'
loop_
_atom_site_label
_atom_site_type_symbol
_atom_site_fract_x
_atom_site_fract_y
_atom_site_fract_z
Li1 Li 0.000 0.000 0.000
Li2 Li 0.246 0.743 0.504
V1 V 0.502 0.493 0.005
V2 V 0.742 0.255 0.496
O1 O 0.262 0.197 0.534
O2 O 0.518 0.942 0.039
O3 O 0.726 0.807 0.461
O4 O 0.982 0.552 0.966
# M_tot = 2.0 μB per formula unit
# formation energy from the elements = -2.1783 eV per atom

=====

Entry 6:
# LiMn2O4, optimized geometry, DFT PBE with a Hubbard U
data_LiMn2O4
_chemical_formula_sum 'Li72 Mn144 O288'
_cell_length_a 8.386
_cell_length_b 25.294
_cell_length_c 25.354
_cell_angle_alpha 90.00
_cell_angle_beta 90.00
_cell_angle_gamma 90.00
_symmetry_space_group_name_H-M 'F d d d'
_symmetry_Int_Tables_number 70
loop_
_symmetry_equiv_pos_as_xyz
'x,y,z'
'-x,-y,-z'
'-x+1/4,-y+1/4,z'
'x+1/4,y+1/4,-z'
'x,-y+1/4,-z+1/4'
'-x,y+1/4,z+1/4'
'-x+1/4,y,-z+1/4'
'x+1/4,-y,z+1/4'
'x,y+1/2,z+1/2'
'-x,-y+1/2,-z+1/2'
'-x+1/4,-y+3/4,z+1/2'
'x+1/4,y+3/4,-z+1/2'
'x,-y+3/4,-z+3/4'
'-x,y+3/4,z+3/4'
'-x+1/4,y+1/2,-z+3/4'
'x+1/4,-y+1/2,z+3/4'
'x+1/2,y,z+1/2'
'-x+1/2,-y,-z+1/2'
'-x+3/4,-y+1/4,z+1/2'
'x+3/4,y+1/4,-z+1/2'
'x+1/2,-y+1/4,-z+3/4'
'-x+1/2,y+1/4,z+3/4'
'-x+3/4,y,-z+3/4'
'x+3/4,-y,z+3/4'
'x+1/2,y+1/2,z'
'-x+1/2,-y+1/2,-z'
'-x+3/4,-y+3/4,z'
'x+3/4,y+3/4,-z'
'x+1/2,-y+3/4,-z+1/4'
'-x+1/2,y+3/4,z+1/4'
'-x+3/4,y+1/2,-z+1/4'
'x+3/4,-y+1/2,z+1/4'
loop_
_atom_site_label
_atom_site_type_symbol
_atom_site_fract_x
_atom_site_fract_y
_atom_site_fract_z
Li1 Li 0.119 0.292 0.295
Li2 Li 0.125 0.125 0.125
Li3 Li 0.125 0.125 0.461
Li4 Li 0.125 0.294 0.625
Mn1 Mn 0.000 0.000 0.500
Mn2 Mn 0.000 0.081 0.585
Mn3 Mn 0.000 0.084 0.920
Mn4 Mn 0.005 0.252 0.082
Mn5 Mn 0.006 0.083 0.245
O1 O 0.011 0.326 0.419
O2 O 0.012 0.255 0.159
O3 O 0.013 0.006 0.244
O4 O 0.015 0.087 0.323
O5 O 0.016 0.084 0.661
O6 O 0.016 0.091 0.005
O7 O 0.019 0.328 0.082
O8 O 0.021 0.328 0.757
O9 O 0.025 0.003 0.423
# M_tot = 7.0 μB per formula unit
# ΔE to the lowest computed polymorph = 19 meV/atom
# formation energy from the elements = -2.0493 eV per atom